Below is a geometry-optimized MgH4C4O4 structure, with properties calculated at the PBE level.

```
data_MgH4C4O4
_cell_length_a 11.530
_cell_length_b 10.161
_cell_length_c 18.941
_cell_angle_alpha 90.00
_cell_angle_beta 126.29
_cell_angle_gamma 90.00
_symmetry_space_group_name_H-M 'P 1'
_symmetry_Int_Tables_number 1
_symmetry_space_group_name_Hall 'P 1'
loop_
_atom_site_label
_atom_site_type_symbol
_atom_site_fract_x
_atom_site_fract_y
_atom_site_fract_z
Mg1 Mg 0.000 0.000 0.000
Mg2 Mg 0.000 0.500 0.500
Mg3 Mg 0.062 0.126 0.302
Mg4 Mg 0.062 0.374 0.802
Mg5 Mg 0.119 0.071 0.864
Mg6 Mg 0.119 0.429 0.364
Mg7 Mg 0.500 0.000 0.000
Mg8 Mg 0.500 0.500 0.500
Mg9 Mg 0.881 0.571 0.636
Mg10 Mg 0.881 0.929 0.136
Mg11 Mg 0.938 0.626 0.198
Mg12 Mg 0.938 0.874 0.698
H1 H 0.012 0.729 0.873
H2 H 0.012 0.771 0.373
H3 H 0.037 0.618 0.075
H4 H 0.037 0.882 0.575
H5 H 0.252 0.740 0.288
H6 H 0.252 0.760 0.788
H7 H 0.272 0.638 0.585
H8 H 0.272 0.862 0.085
H9 H 0.280 0.235 0.662
H10 H 0.280 0.265 0.162
H11 H 0.284 0.175 0.537
H12 H 0.284 0.325 0.037
H13 H 0.291 0.065 0.263
H14 H 0.291 0.435 0.763
H15 H 0.372 0.075 0.785
H16 H 0.372 0.425 0.285
H17 H 0.374 0.542 0.031
H18 H 0.374 0.958 0.531
H19 H 0.466 0.703 0.154
H20 H 0.466 0.797 0.654
H21 H 0.467 0.642 0.282
H22 H 0.467 0.858 0.782
H23 H 0.484 0.215 0.473
H24 H 0.484 0.285 0.973
H25 H 0.516 0.715 0.027
H26 H 0.516 0.785 0.527
H27 H 0.533 0.142 0.218
H28 H 0.533 0.358 0.718
H29 H 0.534 0.203 0.346
H30 H 0.534 0.297 0.846
H31 H 0.626 0.042 0.469
H32 H 0.626 0.458 0.969
H33 H 0.628 0.575 0.715
H34 H 0.628 0.925 0.215
H35 H 0.709 0.565 0.237
H36 H 0.709 0.935 0.737
H37 H 0.716 0.675 0.963
H38 H 0.716 0.825 0.463
H39 H 0.720 0.735 0.838
H40 H 0.720 0.765 0.338
H41 H 0.728 0.138 0.915
H42 H 0.728 0.362 0.415
H43 H 0.748 0.240 0.212
H44 H 0.748 0.260 0.712
H45 H 0.963 0.118 0.425
H46 H 0.963 0.382 0.925
H47 H 0.988 0.229 0.627
H48 H 0.988 0.271 0.127
C1 C 0.001 0.652 0.828
C2 C 0.001 0.848 0.328
C3 C 0.006 0.722 0.072
C4 C 0.006 0.778 0.572
C5 C 0.183 0.038 0.204
C6 C 0.183 0.462 0.704
C7 C 0.270 0.655 0.330
C8 C 0.270 0.845 0.830
C9 C 0.277 0.584 0.536
C10 C 0.277 0.916 0.036
C11 C 0.321 0.139 0.661
C12 C 0.321 0.361 0.161
C13 C 0.323 0.105 0.590
C14 C 0.323 0.395 0.090
C15 C 0.367 0.235 0.432
C16 C 0.367 0.265 0.932
C17 C 0.372 0.049 0.730
C18 C 0.372 0.451 0.230
C19 C 0.375 0.517 0.087
C20 C 0.375 0.983 0.587
C21 C 0.426 0.573 0.227
C22 C 0.426 0.607 0.156
C23 C 0.426 0.893 0.656
C24 C 0.426 0.927 0.727
C25 C 0.574 0.073 0.273
C26 C 0.574 0.107 0.344
C27 C 0.574 0.393 0.844
C28 C 0.574 0.427 0.773
C29 C 0.625 0.017 0.413
C30 C 0.625 0.483 0.913
C31 C 0.628 0.549 0.770
C32 C 0.628 0.951 0.270
C33 C 0.633 0.735 0.068
C34 C 0.633 0.765 0.568
C35 C 0.677 0.605 0.910
C36 C 0.677 0.895 0.410
C37 C 0.679 0.639 0.839
C38 C 0.679 0.861 0.339
C39 C 0.723 0.084 0.964
C40 C 0.723 0.416 0.464
C41 C 0.730 0.155 0.170
C42 C 0.730 0.345 0.670
C43 C 0.817 0.538 0.296
C44 C 0.817 0.962 0.796
C45 C 0.994 0.222 0.428
C46 C 0.994 0.278 0.928
C47 C 0.999 0.152 0.672
C48 C 0.999 0.348 0.172
O1 O 0.011 0.702 0.522
O2 O 0.011 0.798 0.022
O3 O 0.033 0.246 0.879
O4 O 0.033 0.254 0.379
O5 O 0.048 0.539 0.859
O6 O 0.048 0.961 0.359
O7 O 0.059 0.186 0.752
O8 O 0.059 0.314 0.252
O9 O 0.084 0.021 0.215
O10 O 0.084 0.479 0.715
O11 O 0.156 0.594 0.310
O12 O 0.156 0.906 0.810
O13 O 0.162 0.520 0.477
O14 O 0.162 0.980 0.977
O15 O 0.167 0.027 0.132
O16 O 0.167 0.473 0.632
O17 O 0.282 0.141 0.391
O18 O 0.282 0.359 0.891
O19 O 0.331 0.144 0.930
O20 O 0.331 0.356 0.430
O21 O 0.391 0.589 0.542
O22 O 0.391 0.911 0.042
O23 O 0.397 0.628 0.393
O24 O 0.397 0.872 0.893
O25 O 0.603 0.128 0.107
O26 O 0.603 0.372 0.607
O27 O 0.609 0.089 0.958
O28 O 0.609 0.411 0.458
O29 O 0.669 0.644 0.570
O30 O 0.669 0.856 0.070
O31 O 0.718 0.641 0.109
O32 O 0.718 0.859 0.609
O33 O 0.833 0.527 0.368
O34 O 0.833 0.973 0.868
O35 O 0.838 0.020 0.023
O36 O 0.838 0.480 0.523
O37 O 0.844 0.094 0.190
O38 O 0.844 0.406 0.690
O39 O 0.916 0.521 0.285
O40 O 0.916 0.979 0.785
O41 O 0.941 0.686 0.748
O42 O 0.941 0.814 0.248
O43 O 0.952 0.039 0.641
O44 O 0.952 0.461 0.141
O45 O 0.967 0.746 0.621
O46 O 0.967 0.754 0.121
O47 O 0.989 0.202 0.978
O48 O 0.989 0.298 0.478
```

The energy of formation from the pure elements comes out at -112.0 kJ per mole of atoms.

=====

Below is a geometry-optimized MgH2C2O4 structure, with properties calculated at the PBE level.

```
data_MgH2C2O4
_cell_length_a 11.510
_cell_length_b 10.063
_cell_length_c 18.575
_cell_angle_alpha 90.00
_cell_angle_beta 126.85
_cell_angle_gamma 90.00
_symmetry_space_group_name_H-M 'P 1'
_symmetry_Int_Tables_number 1
_symmetry_space_group_name_Hall 'P 1'
loop_
_atom_site_label
_atom_site_type_symbol
_atom_site_fract_x
_atom_site_fract_y
_atom_site_fract_z
Mg1 Mg 0.000 0.000 0.000
Mg2 Mg 0.000 0.500 0.500
Mg3 Mg 0.069 0.113 0.309
Mg4 Mg 0.069 0.387 0.809
Mg5 Mg 0.121 0.078 0.865
Mg6 Mg 0.121 0.422 0.365
Mg7 Mg 0.500 0.000 0.000
Mg8 Mg 0.500 0.500 0.500
Mg9 Mg 0.879 0.578 0.635
Mg10 Mg 0.879 0.922 0.135
Mg11 Mg 0.931 0.613 0.191
Mg12 Mg 0.931 0.887 0.691
H1 H 0.008 0.746 0.873
H2 H 0.008 0.754 0.373
H3 H 0.023 0.107 0.459
H4 H 0.023 0.393 0.959
H5 H 0.248 0.702 0.265
H6 H 0.248 0.798 0.765
H7 H 0.266 0.663 0.575
H8 H 0.266 0.837 0.075
H9 H 0.299 0.040 0.270
H10 H 0.299 0.460 0.770
H11 H 0.490 0.205 0.490
H12 H 0.490 0.295 0.990
H13 H 0.510 0.705 0.010
H14 H 0.510 0.795 0.510
H15 H 0.701 0.540 0.230
H16 H 0.701 0.960 0.730
H17 H 0.734 0.163 0.925
H18 H 0.734 0.337 0.425
H19 H 0.752 0.202 0.235
H20 H 0.752 0.298 0.735
H21 H 0.977 0.607 0.041
H22 H 0.977 0.893 0.541
H23 H 0.992 0.246 0.627
H24 H 0.992 0.254 0.127
C1 C 0.000 0.167 0.671
C2 C 0.000 0.333 0.171
C3 C 0.000 0.667 0.829
C4 C 0.000 0.833 0.329
C5 C 0.029 0.215 0.449
C6 C 0.029 0.285 0.949
C7 C 0.189 0.017 0.209
C8 C 0.189 0.483 0.709
C9 C 0.268 0.630 0.317
C10 C 0.268 0.870 0.817
C11 C 0.272 0.599 0.529
C12 C 0.272 0.901 0.029
C13 C 0.372 0.225 0.443
C14 C 0.372 0.275 0.943
C15 C 0.628 0.725 0.057
C16 C 0.628 0.775 0.557
C17 C 0.728 0.099 0.971
C18 C 0.728 0.401 0.471
C19 C 0.732 0.130 0.183
C20 C 0.732 0.370 0.683
C21 C 0.811 0.517 0.291
C22 C 0.811 0.983 0.791
C23 C 0.971 0.715 0.051
C24 C 0.971 0.785 0.551
O1 O 0.019 0.205 0.997
O2 O 0.019 0.295 0.497
O3 O 0.045 0.246 0.389
O4 O 0.045 0.254 0.889
O5 O 0.049 0.554 0.863
O6 O 0.049 0.946 0.363
O7 O 0.059 0.199 0.753
O8 O 0.059 0.301 0.253
O9 O 0.088 0.009 0.219
O10 O 0.088 0.491 0.719
O11 O 0.154 0.581 0.304
O12 O 0.154 0.919 0.804
O13 O 0.159 0.526 0.475
O14 O 0.159 0.974 0.975
O15 O 0.172 0.000 0.136
O16 O 0.172 0.500 0.636
O17 O 0.289 0.129 0.402
O18 O 0.289 0.371 0.902
O19 O 0.334 0.152 0.937
O20 O 0.334 0.348 0.437
O21 O 0.383 0.604 0.532
O22 O 0.383 0.896 0.032
O23 O 0.397 0.605 0.380
O24 O 0.397 0.895 0.880
O25 O 0.603 0.105 0.120
O26 O 0.603 0.395 0.620
O27 O 0.617 0.104 0.968
O28 O 0.617 0.396 0.468
O29 O 0.666 0.652 0.563
O30 O 0.666 0.848 0.063
O31 O 0.711 0.629 0.098
O32 O 0.711 0.871 0.598
O33 O 0.828 0.000 0.864
O34 O 0.828 0.500 0.364
O35 O 0.841 0.026 0.025
O36 O 0.841 0.474 0.525
O37 O 0.846 0.081 0.196
O38 O 0.846 0.419 0.696
O39 O 0.912 0.509 0.281
O40 O 0.912 0.991 0.781
O41 O 0.941 0.699 0.747
O42 O 0.941 0.801 0.247
O43 O 0.951 0.054 0.637
O44 O 0.951 0.446 0.137
O45 O 0.955 0.746 0.111
O46 O 0.955 0.754 0.611
O47 O 0.981 0.705 0.503
O48 O 0.981 0.795 0.003
```

The energy of formation from the pure elements comes out at -160.9 kJ per mole of atoms.

=====

Below is a geometry-optimized Mg5H10C4O18 structure, with properties calculated at the PBE level.

```
data_Mg5H10C4O18
_cell_length_a 10.151
_cell_length_b 9.204
_cell_length_c 8.410
_cell_angle_alpha 90.00
_cell_angle_beta 114.44
_cell_angle_gamma 90.00
_symmetry_space_group_name_H-M 'P 1'
_symmetry_Int_Tables_number 1
_symmetry_space_group_name_Hall 'P 1'
loop_
_atom_site_label
_atom_site_type_symbol
_atom_site_fract_x
_atom_site_fract_y
_atom_site_fract_z
Mg1 Mg 0.000 0.000 0.000
Mg2 Mg 0.000 0.500 0.500
Mg3 Mg 0.345 0.069 0.354
Mg4 Mg 0.345 0.070 0.985
Mg5 Mg 0.345 0.430 0.485
Mg6 Mg 0.345 0.431 0.854
Mg7 Mg 0.655 0.569 0.146
Mg8 Mg 0.655 0.570 0.515
Mg9 Mg 0.655 0.930 0.015
Mg10 Mg 0.655 0.931 0.646
H1 H 0.137 0.596 0.267
H2 H 0.137 0.904 0.767
H3 H 0.148 0.626 0.856
H4 H 0.148 0.874 0.356
H5 H 0.234 0.622 0.615
H6 H 0.234 0.878 0.115
H7 H 0.246 0.584 0.170
H8 H 0.246 0.916 0.670
H9 H 0.302 0.697 0.942
H10 H 0.302 0.803 0.442
H11 H 0.698 0.197 0.558
H12 H 0.698 0.303 0.058
H13 H 0.754 0.084 0.330
H14 H 0.754 0.416 0.830
H15 H 0.766 0.122 0.885
H16 H 0.766 0.378 0.385
H17 H 0.852 0.126 0.644
H18 H 0.852 0.374 0.144
H19 H 0.863 0.096 0.233
H20 H 0.863 0.404 0.733
C1 C 0.080 0.233 0.308
C2 C 0.080 0.267 0.808
C3 C 0.474 0.167 0.736
C4 C 0.474 0.333 0.236
C5 C 0.526 0.667 0.764
C6 C 0.526 0.833 0.264
C7 C 0.920 0.733 0.192
C8 C 0.920 0.767 0.692
O1 O 0.005 0.168 0.841
O2 O 0.005 0.332 0.341
O3 O 0.014 0.123 0.214
O4 O 0.014 0.377 0.714
O5 O 0.221 0.243 0.368
O6 O 0.221 0.257 0.868
O7 O 0.226 0.517 0.610
O8 O 0.226 0.983 0.110
O9 O 0.240 0.576 0.283
O10 O 0.240 0.924 0.783
O11 O 0.246 0.612 0.952
O12 O 0.246 0.888 0.452
O13 O 0.431 0.199 0.214
O14 O 0.431 0.301 0.714
O15 O 0.495 0.099 0.613
O16 O 0.495 0.401 0.113
O17 O 0.498 0.102 0.883
O18 O 0.498 0.398 0.383
O19 O 0.502 0.602 0.617
O20 O 0.502 0.898 0.117
O21 O 0.505 0.599 0.887
O22 O 0.505 0.901 0.387
O23 O 0.569 0.699 0.286
O24 O 0.569 0.801 0.786
O25 O 0.754 0.112 0.548
O26 O 0.754 0.388 0.048
O27 O 0.760 0.076 0.217
O28 O 0.760 0.424 0.717
O29 O 0.774 0.017 0.890
O30 O 0.774 0.483 0.390
O31 O 0.779 0.743 0.132
O32 O 0.779 0.757 0.632
O33 O 0.986 0.623 0.286
O34 O 0.986 0.877 0.786
O35 O 0.995 0.668 0.659
O36 O 0.995 0.832 0.159
```

The energy of formation from the pure elements comes out at -193.5 kJ per mole of atoms.